ZnO2F2: relaxed, PBE.

Unit cell a=6.5651 b=6.5651 c=9.4037 alpha=129.99 beta=129.99 gamma=26.35
Fractional positions:
Zn 0.1305 0.8695 0.7500
Zn 0.8695 0.1305 0.2500
O 0.0184 0.2603 0.5330
O 0.2603 0.0184 0.0330
O 0.7397 0.9816 0.9670
O 0.9816 0.7397 0.4670
F 0.2653 0.5248 0.2499
F 0.4752 0.7347 0.2501
F 0.5248 0.2653 0.7499
F 0.7347 0.4752 0.7501

Calculated values
Formation energy from the elements: -0.65 eV per atom
Space group: C2/c



ZnOF: relaxed, PBE.

Unit cell a=10.3184 b=3.1530 c=4.4966 alpha=90.00 beta=90.00 gamma=90.00
Fractional positions:
Zn 0.1387 0.2500 0.0582
Zn 0.3613 0.7500 0.5582
Zn 0.6387 0.2500 0.4418
Zn 0.8613 0.7500 0.9418
O 0.2019 0.7500 0.2997
O 0.2981 0.2500 0.7997
O 0.7019 0.7500 0.2003
O 0.7981 0.2500 0.7003
F 0.0560 0.7500 0.8011
F 0.4440 0.2500 0.3011
F 0.5560 0.7500 0.6989
F 0.9440 0.2500 0.1989

Calculated values
Formation energy from the elements: -1.59 eV per atom
Space group: Pnma



ZnO2F2: relaxed, PBE.

Unit cell a=10.3643 b=8.5377 c=6.1914 alpha=87.94 beta=55.41 gamma=36.65
Fractional positions:
Zn 0.1250 0.1250 0.1250
Zn 0.8750 0.8750 0.8750
O 0.0960 0.6540 0.0960
O 0.3460 0.9040 0.3460
O 0.6540 0.0960 0.6540
O 0.9040 0.3460 0.9040
F 0.2942 0.2942 0.4558
F 0.4558 0.4558 0.2942
F 0.5442 0.5442 0.7058
F 0.7058 0.7058 0.5442

Calculated values
Formation energy from the elements: -1.19 eV per atom
Space group: Fddd



ZnO2F2: relaxed, PBE.

Unit cell a=2.9923 b=6.5643 c=7.2208 alpha=85.89 beta=78.13 gamma=76.86
Fractional positions:
Zn 0.0000 0.0000 0.0000
Zn 0.2655 0.4975 0.4979
O 0.1180 0.4965 0.7808
O 0.1378 0.9951 0.7173
O 0.3954 0.5019 0.2149
O 0.8510 0.0015 0.2830
F 0.3977 0.2099 0.9950
F 0.6010 0.7903 0.0056
F 0.6615 0.7072 0.4973
F 0.8698 0.2878 0.4977

Calculated values
Formation energy from the elements: -0.65 eV per atom
Space group: P1



ZnO2F2: relaxed, PBE.

Unit cell a=3.0352 b=6.5960 c=8.2863 alpha=102.47 beta=99.61 gamma=91.94
Fractional positions:
Zn 0.0991 0.2741 0.2505
Zn 0.9009 0.7259 0.7495
O 0.0515 0.8571 0.2711
O 0.1771 0.6831 0.2222
O 0.8229 0.3169 0.7778
O 0.9485 0.1429 0.7289
F 0.3283 0.7142 0.5919
F 0.4744 0.7454 0.9084
F 0.5256 0.2546 0.0916
F 0.6717 0.2858 0.4081

Calculated values
Formation energy from the elements: -1.46 eV per atom
Space group: P-1



ZnO2F2: relaxed, PBE.

Unit cell a=3.0750 b=6.1430 c=7.6035 alpha=98.88 beta=100.01 gamma=97.27
Fractional positions:
Zn 0.0000 0.0000 0.0000
Zn 0.2029 0.5450 0.5012
O 0.0970 0.1135 0.5017
O 0.0968 0.4303 0.9881
O 0.3413 0.9691 0.4956
O 0.8640 0.5767 0.0133
F 0.4275 0.9893 0.8333
F 0.5789 0.0189 0.1695
F 0.6207 0.5271 0.3314
F 0.7726 0.5558 0.6686

Calculated values
Formation energy from the elements: -1.40 eV per atom
Space group: P1



> Number 3 is which compound?

ZnO2F2